Record 1
{"formula": "KRb2PdF6", "functional": "PBE", "state": "relaxed", "lattice_angstrom": [[-0.7966, -6.1661, 1.8220], [-4.8501, -3.5091, -2.4773], [1.2711, -4.7982, -4.1637]], "species": ["Pd", "F", "F", "F", "F", "F", "F", "Rb", "Rb", "K"], "frac_coords": [[0.0000, 0.0000, 0.0000], [0.2249, 0.2249, 0.7751], [0.7751, 0.2249, 0.7751], [0.2249, 0.7751, 0.7751], [0.2249, 0.7751, 0.2249], [0.7751, 0.2249, 0.2249], [0.7751, 0.7751, 0.2249], [0.7500, 0.7500, 0.7500], [0.2500, 0.2500, 0.2500], [0.5000, 0.5000, 0.5000]], "e_form_ev_per_atom": -2.4773}

Record 2
{"formula": "K2RbPdF5", "functional": "PBE", "state": "relaxed", "lattice_angstrom": [[-2.0306, 0.7043, -7.0318], [6.2711, -3.1937, -2.1308], [-2.8177, -5.6952, 0.2433]], "species": ["F", "F", "F", "F", "F", "F", "F", "F", "F", "F", "Pd", "Pd", "K", "K", "K", "K", "Rb", "Rb"], "frac_coords": [[0.3652, 0.1348, 0.2218], [0.1348, 0.6348, 0.7782], [0.0000, 0.0000, 0.5000], [0.6348, 0.8652, 0.7782], [0.6348, 0.8652, 0.2218], [0.5000, 0.5000, 0.5000], [0.8652, 0.3652, 0.2218], [0.1348, 0.6348, 0.2218], [0.8652, 0.3652, 0.7782], [0.3652, 0.1348, 0.7782], [0.0000, 0.5000, 0.0000], [0.5000, 0.0000, 0.0000], [0.8235, 0.6765, 0.5000], [0.6765, 0.1765, 0.5000], [0.3235, 0.8235, 0.5000], [0.1765, 0.3235, 0.5000], [0.0000, 0.0000, 0.0000], [0.5000, 0.5000, 0.0000]], "e_form_ev_per_atom": -2.5204}

Number 1: spin magnetization 1.0 μB per formula unit. Number 2: spin magnetization 0.0 μB per formula unit.